Below is a geometry-optimized Li4V2SiP2O12 structure, with properties calculated at the PBE+U level.

POSCAR file:
```
Li4V2SiP2O12
1.0
-5.8395 14.1524 -2.8683
-0.9922 -2.1653 -8.6988
-6.6441 1.1248 5.1609
O V P Si Li
48 8 8 4 16
Direct
0.2562 0.1372 0.5648 O
0.4911 0.8193 0.9506 O
0.5069 0.1781 0.0645 O
0.6300 0.7973 0.2695 O
0.1946 0.3256 0.9448 O
0.1211 0.7725 0.2302 O
0.4682 0.9440 0.7255 O
0.6973 0.2255 0.7685 O
0.6201 0.2791 0.2303 O
0.0519 0.7120 0.7275 O
0.5448 0.2169 0.7360 O
0.7830 0.9634 0.7661 O
0.0918 0.0202 0.9397 O
0.3702 0.2063 0.7312 O
0.7458 0.8637 0.4301 O
0.5311 0.0678 0.2797 O
0.4055 0.4842 0.0632 O
0.8375 0.1680 0.4386 O
0.3008 0.7728 0.2343 O
0.1582 0.8297 0.5606 O
0.7958 0.2556 0.2219 O
0.2018 0.7400 0.7764 O
0.0617 0.1249 0.5456 O
0.5641 0.6288 0.5453 O
0.2815 0.4618 0.7744 O
0.0301 0.5614 0.2711 O
0.6872 0.8335 0.9521 O
0.4451 0.3727 0.4449 O
0.3433 0.6736 0.4418 O
0.7208 0.5373 0.2198 O
0.8763 0.7024 0.7332 O
0.2198 0.0317 0.2238 O
0.8039 0.6758 0.0504 O
0.0045 0.6850 0.0680 O
0.8740 0.2206 0.7634 O
0.9705 0.4459 0.7290 O
0.5944 0.5170 0.9421 O
0.6536 0.3275 0.5625 O
0.3109 0.1718 0.0457 O
0.9896 0.3123 0.9495 O
0.9102 0.9800 0.0616 O
0.9456 0.2910 0.2792 O
0.1240 0.3028 0.2706 O
0.4535 0.7870 0.2732 O
0.9464 0.8706 0.4465 O
0.7610 0.6124 0.5473 O
0.2417 0.3846 0.4492 O
0.3759 0.7162 0.7692 O
0.9305 0.7126 0.9217 V
0.5709 0.7887 0.0722 V
0.3196 0.5411 0.5765 V
0.0679 0.2845 0.0760 V
0.8200 0.0379 0.5750 V
0.1791 0.9660 0.4257 V
0.6797 0.4645 0.4271 V
0.4277 0.2114 0.9274 V
0.7278 0.7201 0.2420 P
0.1264 0.8302 0.7502 P
0.0232 0.7257 0.2535 P
0.2727 0.2794 0.7543 P
0.3763 0.6739 0.2528 P
0.5230 0.2269 0.2554 P
0.6229 0.3285 0.7520 P
0.8726 0.1698 0.2503 P
0.9769 0.2732 0.7483 Si
0.4781 0.7730 0.7467 Si
0.2271 0.2256 0.2477 Si
0.7736 0.7729 0.7499 Si
0.8310 0.4255 0.7550 Li
0.4189 0.4248 0.7504 Li
0.5792 0.5890 0.2714 Li
0.4981 0.9974 0.5074 Li
0.2541 0.7640 0.9955 Li
0.3305 0.9323 0.7736 Li
0.3777 0.9523 0.2199 Li
0.6251 0.0358 0.7598 Li
0.1680 0.5706 0.2462 Li
0.0809 0.0912 0.2752 Li
0.9190 0.9160 0.7408 Li
0.6716 0.0686 0.2268 Li
0.7544 0.2428 0.9873 Li
0.1275 0.5182 0.7145 Li
0.9997 0.4940 0.5049 Li
0.8745 0.4640 0.2530 Li
```

Total DFT energy (no corrections) (eV per atom): -6.9770
Energy above the most stable polymorph in this dataset (meV/atom): 12
E_form (eV per atom): -2.7014
Spin magnetization (μB per formula unit): 4.0